1.
Te: optimized geometry, PBE.

## Properties
Calculated total energy (eV for the cell shown): -6.03
DFT formation energy (kJ/mol of atoms): 12
V (A^3/atom): 39.00
Energy above the most stable polymorph in this dataset (meV/atom): 127.4

Lattice parameters (Å, degrees): 3.0144 8.6540 2.9900 90.00 90.00 90.00
With the nearest neighbours (Å) after each atom.
Space group Cmmm (No. 65)
Unique sites:
Te 0.0000 0.0000 0.0000 (multiplicity 2)  4 Te 2.99-3.01

---

2.
ThCN: optimized geometry, PBE.

## Properties
Spin magnetization (μB per atom): 0.0001
Calculated total energy (eV for the cell shown): -111.21
DFT formation energy (kJ/mol of atoms): -102
V (A^3/atom): 17.06

Lattice parameters (Å, degrees): 6.9977 3.9793 7.3693 90.00 94.01 90.00
With the nearest neighbours (Å) after each atom.
Space group C2/m (No. 12)
Unique sites:
Th 0.1792 0.0000 0.1992 (multiplicity 4)  4 N 2.36-2.39
C 0.0298 0.5000 0.4211 (multiplicity 4)  1 C 1.26
N 0.1560 0.0000 0.8776 (multiplicity 4)  4 Th 2.36-2.39

---

3.
H2S: optimized geometry, PBE.

## Properties
Spin magnetization (μB per atom): 0.0000
Calculated total energy (eV for the cell shown): -179.68
DFT formation energy (kJ/mol of atoms): -26
V (A^3/atom): 20.72
Energy above the most stable polymorph in this dataset (meV/atom): 46.0

Lattice parameters (Å, degrees): 9.0119 9.0119 12.2466 90.00 90.00 90.00
With the nearest neighbours (Å) after each atom.
Space group I4_1/acd (No. 142, origin choice 2)
Unique sites:
H 0.0773 0.0323 0.3261 (multiplicity 32)  1 S 1.35
S 0.0259 0.0000 0.7500 (multiplicity 16)  2 H 1.35

---

4.
ThPSe: optimized geometry, PBE.

## Properties
Calculated total energy (eV for the cell shown): -41.19
DFT formation energy (kJ/mol of atoms): -153
V (A^3/atom): 23.41

Lattice parameters (Å, degrees): 4.0784 4.0784 8.4434 90.00 90.00 90.00
With the nearest neighbours (Å) after each atom.
Space group P4/nmm (No. 129, origin choice 2)
Unique sites:
Th 0.2500 0.2500 0.2502 (multiplicity 2)  4 P 2.94, 5 Se 3.05-3.22
P 0.2500 0.7500 0.0000 (multiplicity 2)  4 P 2.88, 4 Th 2.94
Se 0.2500 0.2500 0.6319 (multiplicity 2)  5 Th 3.05-3.22